Material: ErAlO3
Method: DFT, GGA-PBE
State: optimized geometry

Properties
E in eV per atom: -7.9148
MP2020-corrected energy in eV/atom: -8.327

Cell: 3.4458 3.4458 11.4497 Å, 90.00 90.00 120.00°
Space group P6_3/mmc (No. 194)
One atom of each set of equivalent atoms:
1 Er 0.0000 0.0000 0.0000 [2 per cell]
2 Al 0.3333 0.6667 0.2500 [2 per cell]
3 O 0.0000 0.0000 0.2500 [2 per cell]
4 O 0.3333 0.6667 0.0911 [4 per cell]



Material: BaGePt
Method: DFT, GGA-PBE
State: optimized geometry

Properties
E in eV per atom: -5.1046

Cell: 6.851 6.851 6.851 Å, 90.00 90.00 90.00°
Space group P2_13 (No. 198)
One atom of each set of equivalent atoms:
1 Ba 0.136 0.136 0.136 [4 per cell]
2 Ge 0.158 0.342 0.658 [4 per cell]
3 Pt 0.090 0.590 0.910 [4 per cell]



Material: CaAlGa
Method: DFT, GGA-PBE
State: optimized geometry

Properties
E in eV per atom: -3.3412

Cell: 10.640 4.560 7.404 Å, 90.00 132.44 90.00°
Space group C2/m (No. 12)
One atom of each set of equivalent atoms:
1 Ca 0.046 0.000 0.299 [4 per cell]
2 Al 0.162 0.500 0.096 [4 per cell]
3 Ga 0.160 0.500 0.718 [4 per cell]



no.,formation energy (meV/atom)
1,-3695.5
2,-900.2
3,-414.8